1.
# KZnSb | Materials Project | PBE | optimized geometry
data_KZnSb
_chemical_formula_sum 'K2 Zn2 Sb2'
_cell_length_a 4.580
_cell_length_b 4.580
_cell_length_c 10.730
_cell_angle_alpha 90.00
_cell_angle_beta 90.00
_cell_angle_gamma 120.00
_space_group_name_H-M_alt 'P 1'
_space_group_IT_number 1
_space_group_name_Hall 'P 1'
loop_
_atom_site_label
_atom_site_type_symbol
_atom_site_fract_x
_atom_site_fract_y
_atom_site_fract_z
_atom_site_occupancy
K1 K 0.000 0.000 0.000 1
K2 K 0.000 0.000 0.500 1
Zn1 Zn 0.333 0.667 0.250 1
Zn2 Zn 0.667 0.333 0.750 1
Sb1 Sb 0.333 0.667 0.750 1
Sb2 Sb 0.667 0.333 0.250 1
# crystal system	hexagonal
# ΔE_f	-0.464	eV per atom

---

2.
# K3Sc | Materials Project | PBE | optimized geometry
data_K3Sc
_chemical_formula_sum 'K12 Sc4'
_cell_length_a 9.534
_cell_length_b 9.534
_cell_length_c 9.534
_cell_angle_alpha 90.00
_cell_angle_beta 90.00
_cell_angle_gamma 90.00
_space_group_name_H-M_alt 'P 1'
_space_group_IT_number 1
_space_group_name_Hall 'P 1'
loop_
_atom_site_label
_atom_site_type_symbol
_atom_site_fract_x
_atom_site_fract_y
_atom_site_fract_z
_atom_site_occupancy
K1 K 0.000 0.000 0.000 1
K2 K 0.000 0.500 0.500 1
K3 K 0.250 0.250 0.250 1
K4 K 0.250 0.250 0.750 1
K5 K 0.250 0.750 0.250 1
K6 K 0.250 0.750 0.750 1
K7 K 0.500 0.000 0.500 1
K8 K 0.500 0.500 0.000 1
K9 K 0.750 0.250 0.250 1
K10 K 0.750 0.250 0.750 1
K11 K 0.750 0.750 0.250 1
K12 K 0.750 0.750 0.750 1
Sc1 Sc 0.000 0.000 0.500 1
Sc2 Sc 0.000 0.500 0.000 1
Sc3 Sc 0.500 0.000 0.000 1
Sc4 Sc 0.500 0.500 0.500 1
# crystal system	cubic
# ΔE_f	0.615	eV per atom

---

3.
# KSe3 | Materials Project | PBE | optimized geometry
data_KSe3
_chemical_formula_sum 'K4 Se12'
_cell_length_a 11.718
_cell_length_b 5.472
_cell_length_c 8.354
_cell_angle_alpha 90.00
_cell_angle_beta 111.49
_cell_angle_gamma 90.00
_space_group_name_H-M_alt 'P 1'
_space_group_IT_number 1
_space_group_name_Hall 'P 1'
loop_
_atom_site_label
_atom_site_type_symbol
_atom_site_fract_x
_atom_site_fract_y
_atom_site_fract_z
_atom_site_occupancy
K1 K 0.103 0.000 0.252 1
K2 K 0.397 0.500 0.748 1
K3 K 0.603 0.500 0.252 1
K4 K 0.897 0.000 0.748 1
Se1 Se 0.100 0.540 0.704 1
Se2 Se 0.136 0.496 0.021 1
Se3 Se 0.162 0.955 0.691 1
Se4 Se 0.338 0.455 0.309 1
Se5 Se 0.364 0.996 0.979 1
Se6 Se 0.400 0.040 0.296 1
Se7 Se 0.600 0.040 0.704 1
Se8 Se 0.636 0.996 0.021 1
Se9 Se 0.662 0.455 0.691 1
Se10 Se 0.838 0.955 0.309 1
Se11 Se 0.864 0.496 0.979 1
Se12 Se 0.900 0.540 0.296 1
# energy above the most stable polymorph in this dataset	0.009	eV/atom
# crystal system	monoclinic
# ΔE_f	-0.792	eV per atom

---

4.
# KSe3 | Materials Project | PBE | optimized geometry
data_KSe3
_chemical_formula_sum 'K4 Se12'
_cell_length_a 11.307
_cell_length_b 6.490
_cell_length_c 8.120
_cell_angle_alpha 90.00
_cell_angle_beta 100.16
_cell_angle_gamma 90.00
_space_group_name_H-M_alt 'P 1'
_space_group_IT_number 1
_space_group_name_Hall 'P 1'
loop_
_atom_site_label
_atom_site_type_symbol
_atom_site_fract_x
_atom_site_fract_y
_atom_site_fract_z
_atom_site_occupancy
K1 K 0.107 0.000 0.232 1
K2 K 0.393 0.500 0.768 1
K3 K 0.607 0.500 0.232 1
K4 K 0.893 0.000 0.768 1
Se1 Se 0.068 0.637 0.634 1
Se2 Se 0.187 0.151 0.862 1
Se3 Se 0.216 0.911 0.656 1
Se4 Se 0.284 0.411 0.344 1
Se5 Se 0.313 0.651 0.138 1
Se6 Se 0.432 0.137 0.366 1
Se7 Se 0.568 0.137 0.634 1
Se8 Se 0.687 0.651 0.862 1
Se9 Se 0.716 0.411 0.656 1
Se10 Se 0.784 0.911 0.344 1
Se11 Se 0.813 0.151 0.138 1
Se12 Se 0.932 0.637 0.366 1
# energy above the most stable polymorph in this dataset	0.000	eV/atom
# crystal system	monoclinic
# ΔE_f	-0.801	eV per atom

---

5.
# K5Se3 | Materials Project | PBE | optimized geometry
data_K5Se3
_chemical_formula_sum 'K10 Se6'
_cell_length_a 9.727
_cell_length_b 9.727
_cell_length_c 9.727
_cell_angle_alpha 95.81
_cell_angle_beta 95.81
_cell_angle_gamma 142.89
_space_group_name_H-M_alt 'P 1'
_space_group_IT_number 1
_space_group_name_Hall 'P 1'
loop_
_atom_site_label
_atom_site_type_symbol
_atom_site_fract_x
_atom_site_fract_y
_atom_site_fract_z
_atom_site_occupancy
K1 K 0.089 0.784 0.874 1
K2 K 0.216 0.089 0.305 1
K3 K 0.250 0.750 0.500 1
K4 K 0.275 0.591 0.866 1
K5 K 0.409 0.275 0.684 1
K6 K 0.591 0.725 0.316 1
K7 K 0.725 0.409 0.134 1
K8 K 0.750 0.250 0.500 1
K9 K 0.784 0.911 0.695 1
K10 K 0.911 0.216 0.126 1
Se1 Se 0.153 0.344 0.497 1
Se2 Se 0.297 0.297 0.000 1
Se3 Se 0.344 0.847 0.191 1
Se4 Se 0.656 0.153 0.809 1
Se5 Se 0.703 0.703 0.000 1
Se6 Se 0.847 0.656 0.503 1
# crystal system	tetragonal
# ΔE_f	-1.204	eV per atom

---

6.
# KSmSe2 | Materials Project | PBE | optimized geometry
data_KSmSe2
_chemical_formula_sum 'K3 Sm3 Se6'
_cell_length_a 4.308
_cell_length_b 4.308
_cell_length_c 23.019
_cell_angle_alpha 90.00
_cell_angle_beta 90.00
_cell_angle_gamma 120.00
_space_group_name_H-M_alt 'P 1'
_space_group_IT_number 1
_space_group_name_Hall 'P 1'
loop_
_atom_site_label
_atom_site_type_symbol
_atom_site_fract_x
_atom_site_fract_y
_atom_site_fract_z
_atom_site_occupancy
K1 K 0.000 0.000 0.000 1
K2 K 0.333 0.667 0.667 1
K3 K 0.667 0.333 0.333 1
Sm1 Sm 0.000 0.000 0.500 1
Sm2 Sm 0.333 0.667 0.167 1
Sm3 Sm 0.667 0.333 0.833 1
Se1 Se 0.000 0.000 0.236 1
Se2 Se 0.000 0.000 0.764 1
Se3 Se 0.333 0.667 0.430 1
Se4 Se 0.333 0.667 0.903 1
Se5 Se 0.667 0.333 0.097 1
Se6 Se 0.667 0.333 0.570 1
# crystal system	trigonal
# ΔE_f	-1.987	eV per atom

---

7.
# K4SnSe4 | Materials Project | PBE | optimized geometry
data_K4SnSe4
_chemical_formula_sum 'K16 Sn4 Se16'
_cell_length_a 15.005
_cell_length_b 10.456
_cell_length_c 8.389
_cell_angle_alpha 90.00
_cell_angle_beta 90.00
_cell_angle_gamma 90.00
_space_group_name_H-M_alt 'P 1'
_space_group_IT_number 1
_space_group_name_Hall 'P 1'
loop_
_atom_site_label
_atom_site_type_symbol
_atom_site_fract_x
_atom_site_fract_y
_atom_site_fract_z
_atom_site_occupancy
K1 K 0.000 0.000 0.000 1
K2 K 0.000 0.500 0.000 1
K3 K 0.076 0.250 0.484 1
K4 K 0.228 0.550 0.343 1
K5 K 0.228 0.950 0.343 1
K6 K 0.272 0.050 0.843 1
K7 K 0.272 0.450 0.843 1
K8 K 0.424 0.750 0.984 1
K9 K 0.500 0.000 0.500 1
K10 K 0.500 0.500 0.500 1
K11 K 0.576 0.250 0.016 1
K12 K 0.728 0.550 0.157 1
K13 K 0.728 0.950 0.157 1
K14 K 0.772 0.050 0.657 1
K15 K 0.772 0.450 0.657 1
K16 K 0.924 0.750 0.516 1
Sn1 Sn 0.166 0.750 0.740 1
Sn2 Sn 0.334 0.250 0.240 1
Sn3 Sn 0.666 0.750 0.760 1
Sn4 Sn 0.834 0.250 0.260 1
Se1 Se 0.085 0.550 0.644 1
Se2 Se 0.085 0.950 0.644 1
Se3 Se 0.173 0.750 0.047 1
Se4 Se 0.175 0.250 0.122 1
Se5 Se 0.325 0.750 0.622 1
Se6 Se 0.327 0.250 0.547 1
Se7 Se 0.415 0.050 0.144 1
Se8 Se 0.415 0.450 0.144 1
Se9 Se 0.585 0.550 0.856 1
Se10 Se 0.585 0.950 0.856 1
Se11 Se 0.673 0.750 0.453 1
Se12 Se 0.675 0.250 0.378 1
Se13 Se 0.825 0.750 0.878 1
Se14 Se 0.827 0.250 0.953 1
Se15 Se 0.915 0.050 0.356 1
Se16 Se 0.915 0.450 0.356 1
# crystal system	orthorhombic
# ΔE_f	-1.238	eV per atom

---

8.
# KSnSe2 | Materials Project | PBE | optimized geometry
data_KSnSe2
_chemical_formula_sum 'K4 Sn4 Se8'
_cell_length_a 8.241
_cell_length_b 8.241
_cell_length_c 7.198
_cell_angle_alpha 90.00
_cell_angle_beta 90.00
_cell_angle_gamma 90.00
_space_group_name_H-M_alt 'P 1'
_space_group_IT_number 1
_space_group_name_Hall 'P 1'
loop_
_atom_site_label
_atom_site_type_symbol
_atom_site_fract_x
_atom_site_fract_y
_atom_site_fract_z
_atom_site_occupancy
K1 K 0.000 0.000 0.000 1
K2 K 0.000 0.000 0.500 1
K3 K 0.500 0.500 0.000 1
K4 K 0.500 0.500 0.500 1
Sn1 Sn 0.000 0.500 0.482 1
Sn2 Sn 0.000 0.500 0.982 1
Sn3 Sn 0.500 0.000 0.482 1
Sn4 Sn 0.500 0.000 0.982 1
Se1 Se 0.181 0.319 0.233 1
Se2 Se 0.181 0.681 0.733 1
Se3 Se 0.319 0.181 0.733 1
Se4 Se 0.319 0.819 0.233 1
Se5 Se 0.681 0.181 0.233 1
Se6 Se 0.681 0.819 0.733 1
Se7 Se 0.819 0.319 0.733 1
Se8 Se 0.819 0.681 0.233 1
# crystal system	tetragonal
# ΔE_f	-0.916	eV per atom

---

9.
# K2Ta3Se6 | Materials Project | PBE | optimized geometry
data_K2Ta3Se6
_chemical_formula_sum 'K4 Ta6 Se12'
_cell_length_a 3.573
_cell_length_b 3.573
_cell_length_c 49.296
_cell_angle_alpha 90.00
_cell_angle_beta 90.00
_cell_angle_gamma 120.00
_space_group_name_H-M_alt 'P 1'
_space_group_IT_number 1
_space_group_name_Hall 'P 1'
loop_
_atom_site_label
_atom_site_type_symbol
_atom_site_fract_x
_atom_site_fract_y
_atom_site_fract_z
_atom_site_occupancy
K1 K 0.000 0.000 0.000 1
K2 K 0.000 0.000 0.333 1
K3 K 0.000 0.000 0.667 1
K4 K 0.333 0.667 0.500 1
Ta1 Ta 0.333 0.667 0.083 1
Ta2 Ta 0.333 0.667 0.250 1
Ta3 Ta 0.333 0.667 0.417 1
Ta4 Ta 0.333 0.667 0.583 1
Ta5 Ta 0.333 0.667 0.750 1
Ta6 Ta 0.333 0.667 0.917 1
Se1 Se 0.667 0.333 0.050 1
Se2 Se 0.667 0.333 0.116 1
Se3 Se 0.667 0.333 0.217 1
Se4 Se 0.667 0.333 0.284 1
Se5 Se 0.667 0.333 0.383 1
Se6 Se 0.667 0.333 0.450 1
Se7 Se 0.667 0.333 0.550 1
Se8 Se 0.667 0.333 0.617 1
Se9 Se 0.667 0.333 0.716 1
Se10 Se 0.667 0.333 0.783 1
Se11 Se 0.667 0.333 0.884 1
Se12 Se 0.667 0.333 0.950 1
# crystal system	hexagonal
# ΔE_f	-1.134	eV per atom

---

10.
# K2Tc3Se6 | Materials Project | PBE | optimized geometry
data_K2Tc3Se6
_chemical_formula_sum 'K8 Tc12 Se24'
_cell_length_a 10.115
_cell_length_b 10.115
_cell_length_c 12.536
_cell_angle_alpha 91.30
_cell_angle_beta 91.30
_cell_angle_gamma 60.59
_space_group_name_H-M_alt 'P 1'
_space_group_IT_number 1
_space_group_name_Hall 'P 1'
loop_
_atom_site_label
_atom_site_type_symbol
_atom_site_fract_x
_atom_site_fract_y
_atom_site_fract_z
_atom_site_occupancy
K1 K 0.103 0.897 0.750 1
K2 K 0.148 0.622 0.981 1
K3 K 0.283 0.717 0.250 1
K4 K 0.378 0.852 0.519 1
K5 K 0.622 0.148 0.481 1
K6 K 0.717 0.283 0.750 1
K7 K 0.852 0.378 0.019 1
K8 K 0.897 0.103 0.250 1
Tc1 Tc 0.028 0.389 0.626 1
Tc2 Tc 0.102 0.318 0.420 1
Tc3 Tc 0.184 0.496 0.527 1
Tc4 Tc 0.318 0.102 0.920 1
Tc5 Tc 0.389 0.028 0.126 1
Tc6 Tc 0.496 0.184 0.027 1
Tc7 Tc 0.504 0.816 0.973 1
Tc8 Tc 0.611 0.972 0.874 1
Tc9 Tc 0.682 0.898 0.080 1
Tc10 Tc 0.816 0.504 0.473 1
Tc11 Tc 0.898 0.682 0.580 1
Tc12 Tc 0.972 0.611 0.374 1
Se1 Se 0.052 0.778 0.481 1
Se2 Se 0.059 0.237 0.806 1
Se3 Se 0.107 0.561 0.719 1
Se4 Se 0.217 0.297 0.071 1
Se5 Se 0.222 0.948 0.019 1
Se6 Se 0.237 0.059 0.306 1
Se7 Se 0.248 0.425 0.334 1
Se8 Se 0.297 0.217 0.571 1
Se9 Se 0.425 0.248 0.834 1
Se10 Se 0.433 0.503 0.581 1
Se11 Se 0.439 0.893 0.781 1
Se12 Se 0.497 0.567 0.919 1
Se13 Se 0.503 0.433 0.081 1
Se14 Se 0.561 0.107 0.219 1
Se15 Se 0.567 0.497 0.419 1
Se16 Se 0.575 0.752 0.166 1
Se17 Se 0.703 0.783 0.429 1
Se18 Se 0.752 0.575 0.666 1
Se19 Se 0.763 0.941 0.694 1
Se20 Se 0.778 0.052 0.981 1
Se21 Se 0.783 0.703 0.929 1
Se22 Se 0.893 0.439 0.281 1
Se23 Se 0.941 0.763 0.194 1
Se24 Se 0.948 0.222 0.519 1
# crystal system	monoclinic
# ΔE_f	-1.005	eV per atom

---

11.
# KTlSe2 | Materials Project | PBE | optimized geometry
data_KTlSe2
_chemical_formula_sum 'K4 Tl4 Se8'
_cell_length_a 8.244
_cell_length_b 8.244
_cell_length_c 7.208
_cell_angle_alpha 90.00
_cell_angle_beta 90.00
_cell_angle_gamma 90.00
_space_group_name_H-M_alt 'P 1'
_space_group_IT_number 1
_space_group_name_Hall 'P 1'
loop_
_atom_site_label
_atom_site_type_symbol
_atom_site_fract_x
_atom_site_fract_y
_atom_site_fract_z
_atom_site_occupancy
K1 K 0.000 0.000 0.250 1
K2 K 0.000 0.000 0.750 1
K3 K 0.500 0.500 0.250 1
K4 K 0.500 0.500 0.750 1
Tl1 Tl 0.000 0.500 0.250 1
Tl2 Tl 0.000 0.500 0.750 1
Tl3 Tl 0.500 0.000 0.250 1
Tl4 Tl 0.500 0.000 0.750 1
Se1 Se 0.176 0.324 0.000 1
Se2 Se 0.176 0.676 0.500 1
Se3 Se 0.324 0.176 0.500 1
Se4 Se 0.324 0.824 0.000 1
Se5 Se 0.676 0.176 0.000 1
Se6 Se 0.676 0.824 0.500 1
Se7 Se 0.824 0.324 0.500 1
Se8 Se 0.824 0.676 0.000 1
# crystal system	tetragonal
# ΔE_f	-0.880	eV per atom

---

12.
# K3VSe4 | Materials Project | PBE | optimized geometry
data_K3VSe4
_chemical_formula_sum 'K6 V2 Se8'
_cell_length_a 7.481
_cell_length_b 7.481
_cell_length_c 11.496
_cell_angle_alpha 90.00
_cell_angle_beta 90.00
_cell_angle_gamma 90.00
_space_group_name_H-M_alt 'P 1'
_space_group_IT_number 1
_space_group_name_Hall 'P 1'
loop_
_atom_site_label
_atom_site_type_symbol
_atom_site_fract_x
_atom_site_fract_y
_atom_site_fract_z
_atom_site_occupancy
K1 K 0.000 0.000 0.000 1
K2 K 0.000 0.500 0.250 1
K3 K 0.000 0.500 0.750 1
K4 K 0.500 0.000 0.250 1
K5 K 0.500 0.000 0.750 1
K6 K 0.500 0.500 0.500 1
V1 V 0.000 0.000 0.500 1
V2 V 0.500 0.500 0.000 1
Se1 Se 0.181 0.181 0.390 1
Se2 Se 0.181 0.819 0.610 1
Se3 Se 0.319 0.319 0.890 1
Se4 Se 0.319 0.681 0.110 1
Se5 Se 0.681 0.319 0.110 1
Se6 Se 0.681 0.681 0.890 1
Se7 Se 0.819 0.181 0.610 1
Se8 Se 0.819 0.819 0.390 1
# crystal system	tetragonal
# ΔE_f	-1.189	eV per atom
# maximum piezoelectric response	0.578	C/m²

---

no.,energy (eV/atom)
1,-2.567
2,-1.801
3,-3.338
4,-3.346
5,-3.032
6,-4.956
7,-3.521
8,-3.708
9,-6.219
10,-5.682
11,-3.260
12,-4.252